## a
VASP calculation (PBE+U) on crystalline MgCoSi2O6 at its relaxed geometry.

Results
As for the size of the total moment: 0.00 μB per cell.

Cell lengths 5.2989, 6.6963, 13.1973 Å; angles 91.13, 99.42, 76.45 degrees
Last column: nearest neighbours and their distance in Å.
Fractional coordinates of all 40 atoms:
Mg (0.1277, 0.2447, 0.3776)  4 O 1.99-2.02
Mg (0.6276, 0.2447, 0.8777)  4 O 1.99-2.02
Mg (0.3724, 0.7553, 0.1223)  4 O 1.99-2.02
Mg (0.8722, 0.7553, 0.6224)  4 O 1.99-2.02
Co (0.1995, 0.1008, 0.9495)  6 O 2.08-2.27
Co (0.8005, 0.8992, 0.0505)  6 O 2.08-2.27
Co (0.6996, 0.1010, 0.4496)  6 O 2.08-2.27
Co (0.3003, 0.8989, 0.5504)  6 O 2.08-2.27
Si (0.4396, 0.2102, 0.1932)  4 O 1.62-1.67
Si (0.9397, 0.2102, 0.6932)  4 O 1.62-1.67
Si (0.6484, 0.6136, 0.3948)  4 O 1.62-1.67
Si (0.1485, 0.6136, 0.8949)  4 O 1.62-1.67
Si (0.8515, 0.3864, 0.1051)  4 O 1.62-1.67
Si (0.3516, 0.3864, 0.6052)  4 O 1.62-1.67
Si (0.0604, 0.7898, 0.3068)  4 O 1.62-1.67
Si (0.5604, 0.7898, 0.8068)  4 O 1.62-1.67
O (0.6900, 0.3189, 0.1921)  2 Si 1.66-1.67
O (0.1900, 0.3189, 0.6921)  2 Si 1.66-1.67
O (0.3427, 0.6158, 0.3405)  2 Si 1.66-1.67
O (0.8426, 0.6157, 0.8406)  2 Si 1.66-1.67
O (0.8100, 0.6811, 0.3079)  2 Si 1.66-1.67
O (0.3100, 0.6811, 0.8079)  2 Si 1.66-1.67
O (0.1574, 0.3843, 0.1595)  2 Si 1.66-1.67
O (0.6574, 0.3842, 0.6595)  2 Si 1.66-1.67
O (0.4388, 0.1379, 0.3094)  1 Si 1.62
O (0.9389, 0.1380, 0.8093)  1 Si 1.62
O (0.8015, 0.3813, 0.4310)  1 Si 1.62
O (0.3016, 0.3813, 0.9310)  1 Si 1.62
O (0.0611, 0.8620, 0.1907)  1 Si 1.62
O (0.5613, 0.8621, 0.6907)  1 Si 1.62
O (0.6984, 0.6187, 0.0690)  1 Si 1.62
O (0.1985, 0.6187, 0.5690)  1 Si 1.62
O (0.8648, 0.2122, 0.0153)  1 Si 1.64
O (0.3647, 0.2123, 0.5152)  1 Si 1.65
O (0.0443, 0.9695, 0.3939)  1 Si 1.65
O (0.5444, 0.9696, 0.8939)  1 Si 1.64
O (0.4556, 0.0305, 0.1061)  1 Si 1.64
O (0.9557, 0.0305, 0.6061)  1 Si 1.65
O (0.6353, 0.7877, 0.4848)  1 Si 1.65
O (0.1352, 0.7878, 0.9847)  1 Si 1.64



## b
VASP calculation (PBE+U) on crystalline MgCoSi2O6 at its relaxed geometry.

Results
As for the size of the total moment: 24.00 μB per cell.

Cell lengths 5.2852, 9.0628, 18.4488 Å; angles 90.00, 90.00, 90.00 degrees
Last column: nearest neighbours and their distance in Å.
Fractional coordinates of all 80 atoms:
Mg (0.6177, 0.1522, 0.3755)  6 O 2.05-2.22
Mg (0.3823, 0.8478, 0.6245)  6 O 2.05-2.22
Mg (0.6177, 0.6522, 0.1245)  6 O 2.05-2.22
Mg (0.1177, 0.8478, 0.1245)  6 O 2.05-2.22
Mg (0.8823, 0.1522, 0.8755)  6 O 2.05-2.22
Mg (0.3823, 0.3478, 0.8755)  6 O 2.05-2.22
Mg (0.1177, 0.3478, 0.3755)  6 O 2.05-2.22
Mg (0.8823, 0.6522, 0.6245)  6 O 2.05-2.22
Co (0.3765, 0.9920, 0.8762)  4 O 2.00-2.12
Co (0.6235, 0.0080, 0.1238)  4 O 2.00-2.12
Co (0.8765, 0.0080, 0.6238)  4 O 2.00-2.12
Co (0.1235, 0.9920, 0.3762)  4 O 2.00-2.12
Co (0.3765, 0.4920, 0.6238)  4 O 2.00-2.12
Co (0.6235, 0.5080, 0.3762)  4 O 2.00-2.12
Co (0.8765, 0.5080, 0.8762)  4 O 2.00-2.12
Co (0.1235, 0.4920, 0.1238)  4 O 2.00-2.12
Si (0.5644, 0.6598, 0.7724)  4 O 1.62-1.67
Si (0.7151, 0.8364, 0.4744)  4 O 1.62-1.68
Si (0.7849, 0.8364, 0.9744)  4 O 1.62-1.68
Si (0.9356, 0.1598, 0.2276)  4 O 1.62-1.67
Si (0.0644, 0.3402, 0.7276)  4 O 1.62-1.67
Si (0.4356, 0.8402, 0.2724)  4 O 1.62-1.67
Si (0.2151, 0.6636, 0.4744)  4 O 1.62-1.68
Si (0.7151, 0.3364, 0.0256)  4 O 1.62-1.68
Si (0.7849, 0.3364, 0.5256)  4 O 1.62-1.68
Si (0.9356, 0.6598, 0.2724)  4 O 1.62-1.67
Si (0.4356, 0.3402, 0.2276)  4 O 1.62-1.67
Si (0.5644, 0.1598, 0.7276)  4 O 1.62-1.67
Si (0.2849, 0.1636, 0.5256)  4 O 1.62-1.68
Si (0.0644, 0.8402, 0.7724)  4 O 1.62-1.67
Si (0.2849, 0.6636, 0.9744)  4 O 1.62-1.68
Si (0.2151, 0.1636, 0.0256)  4 O 1.62-1.68
O (0.9332, 0.5007, 0.3120)  1 Si 1.62
O (0.3018, 0.0148, 0.0673)  1 Si 1.62
O (0.0668, 0.4993, 0.6880)  1 Si 1.62
O (0.7130, 0.3384, 0.9366)  1 Si 1.64
O (0.2130, 0.1616, 0.9366)  1 Si 1.64
O (0.9194, 0.2052, 0.0511)  2 Si 1.67-1.68
O (0.9454, 0.6624, 0.1840)  1 Si 1.63
O (0.0546, 0.8376, 0.6840)  1 Si 1.63
O (0.7130, 0.8384, 0.5634)  1 Si 1.64
O (0.9454, 0.1624, 0.3160)  1 Si 1.63
O (0.4332, 0.4993, 0.1880)  1 Si 1.62
O (0.7870, 0.3384, 0.4366)  1 Si 1.64
O (0.6982, 0.9852, 0.9327)  1 Si 1.62
O (0.4454, 0.8376, 0.1840)  1 Si 1.63
O (0.5668, 0.0007, 0.6880)  1 Si 1.62
O (0.3018, 0.5148, 0.4327)  1 Si 1.62
O (0.4332, 0.9993, 0.3120)  1 Si 1.62
O (0.1642, 0.7687, 0.3027)  2 Si 1.66-1.67
O (0.3358, 0.7687, 0.8027)  2 Si 1.66-1.67
O (0.5806, 0.7052, 0.9489)  2 Si 1.67-1.68
O (0.7870, 0.8384, 0.0634)  1 Si 1.64
O (0.5546, 0.6624, 0.6840)  1 Si 1.63
O (0.8018, 0.4852, 0.0673)  1 Si 1.62
O (0.1642, 0.2687, 0.1973)  2 Si 1.66-1.67
O (0.2870, 0.1616, 0.4366)  1 Si 1.64
O (0.5546, 0.1624, 0.8160)  1 Si 1.63
O (0.6982, 0.4852, 0.5673)  1 Si 1.62
O (0.2130, 0.6616, 0.5634)  1 Si 1.64
O (0.1982, 0.5148, 0.9327)  1 Si 1.62
O (0.6642, 0.7313, 0.3027)  2 Si 1.66-1.67
O (0.0668, 0.9993, 0.8120)  1 Si 1.62
O (0.8358, 0.7313, 0.8027)  2 Si 1.66-1.67
O (0.8358, 0.2313, 0.6973)  2 Si 1.66-1.67
O (0.8018, 0.9852, 0.4327)  1 Si 1.62
O (0.2870, 0.6616, 0.0634)  1 Si 1.64
O (0.1982, 0.0148, 0.5673)  1 Si 1.62
O (0.3358, 0.2687, 0.6973)  2 Si 1.66-1.67
O (0.0806, 0.7948, 0.9489)  2 Si 1.67-1.68
O (0.4194, 0.7948, 0.4489)  2 Si 1.67-1.68
O (0.6642, 0.2313, 0.1973)  2 Si 1.66-1.67
O (0.4194, 0.2948, 0.0511)  2 Si 1.67-1.68
O (0.5806, 0.2052, 0.5511)  2 Si 1.67-1.68
O (0.0806, 0.2948, 0.5511)  2 Si 1.67-1.68
O (0.4454, 0.3376, 0.3160)  1 Si 1.63
O (0.5668, 0.5007, 0.8120)  1 Si 1.62
O (0.9194, 0.7052, 0.4489)  2 Si 1.67-1.68
O (0.0546, 0.3376, 0.8160)  1 Si 1.63
O (0.9332, 0.0007, 0.1880)  1 Si 1.62



Energies relative to the minimum, meV/atom: a 23; b 0



## a
VASP calculation (PBE+U) on crystalline Mg14CoSiO16 at its relaxed geometry.

Results
As for the size of the total moment: 2.33 μB per cell.

Cell lengths 8.5454, 8.5454, 4.2772 Å; angles 90.00, 90.00, 90.00 degrees
Last column: nearest neighbours and their distance in Å.
Fractional coordinates of all 32 atoms:
Mg (0.0000, 0.5000, 0.0000)  6 O 2.01-2.24
Mg (0.5000, 0.0000, 0.0000)  6 O 2.01-2.24
Mg (0.0000, 0.2446, 0.5000)  6 O 2.09-2.18
Mg (0.0000, 0.7554, 0.5000)  6 O 2.09-2.18
Mg (0.5000, 0.2461, 0.5000)  6 O 2.10-2.17
Mg (0.5000, 0.7539, 0.5000)  6 O 2.10-2.17
Mg (0.2446, 0.0000, 0.5000)  6 O 2.09-2.18
Mg (0.2461, 0.5000, 0.5000)  6 O 2.10-2.17
Mg (0.7554, 0.0000, 0.5000)  6 O 2.09-2.18
Mg (0.7539, 0.5000, 0.5000)  6 O 2.10-2.17
Mg (0.2436, 0.2436, 0.0000)  6 O 2.09-2.20
Mg (0.2436, 0.7564, 0.0000)  6 O 2.09-2.20
Mg (0.7564, 0.2436, 0.0000)  6 O 2.09-2.20
Mg (0.7564, 0.7564, 0.0000)  6 O 2.09-2.20
Co (0.0000, 0.0000, 0.0000)  6 O 2.14-2.26
Si (0.5000, 0.5000, 0.0000)  6 O 2.03-2.14
O (0.2648, 0.0000, 0.0000)  5 Mg 2.01-2.15
O (0.2623, 0.5000, 0.0000)  1 Si 2.03, 5 Mg 2.14-2.24
O (0.7352, 0.0000, 0.0000)  5 Mg 2.01-2.15
O (0.7377, 0.5000, 0.0000)  1 Si 2.03, 5 Mg 2.14-2.24
O (0.2512, 0.2512, 0.5000)  6 Mg 2.13-2.15
O (0.2512, 0.7488, 0.5000)  6 Mg 2.13-2.15
O (0.7488, 0.2512, 0.5000)  6 Mg 2.13-2.15
O (0.7488, 0.7488, 0.5000)  6 Mg 2.13-2.15
O (0.0000, 0.0000, 0.5000)  4 Mg 2.09, 2 Co 2.14
O (0.0000, 0.5000, 0.5000)  6 Mg 2.10-2.18
O (0.5000, 0.0000, 0.5000)  6 Mg 2.10-2.18
O (0.5000, 0.5000, 0.5000)  2 Si 2.14, 4 Mg 2.17
O (0.0000, 0.2648, 0.0000)  5 Mg 2.01-2.15
O (0.0000, 0.7352, 0.0000)  5 Mg 2.01-2.15
O (0.5000, 0.2623, 0.0000)  1 Si 2.03, 5 Mg 2.14-2.24
O (0.5000, 0.7377, 0.0000)  1 Si 2.03, 5 Mg 2.14-2.24



## b
VASP calculation (PBE+U) on crystalline Mg14CoSiO16 at its relaxed geometry.

Results
As for the size of the total moment: 1.65 μB per cell.

Cell lengths 8.5636, 8.5065, 4.2763 Å; angles 90.00, 90.00, 90.00 degrees
Last column: nearest neighbours and their distance in Å.
Fractional coordinates of all 32 atoms:
Mg (0.5000, 0.0000, 0.0000)  6 O 2.04-2.17
Mg (0.5000, 0.5000, 0.0000)  6 O 2.09-2.22
Mg (0.0000, 0.2427, 0.5000)  6 O 2.06-2.19
Mg (0.0000, 0.7573, 0.5000)  6 O 2.06-2.19
Mg (0.5000, 0.2481, 0.5000)  6 O 2.11-2.16
Mg (0.5000, 0.7519, 0.5000)  6 O 2.11-2.16
Mg (0.2461, 0.0000, 0.5000)  6 O 2.11-2.17
Mg (0.2502, 0.5000, 0.5000)  6 O 2.12-2.14
Mg (0.7539, 0.0000, 0.5000)  6 O 2.11-2.17
Mg (0.7498, 0.5000, 0.5000)  6 O 2.12-2.14
Mg (0.2495, 0.2441, 0.0000)  6 O 2.08-2.18
Mg (0.2495, 0.7559, 0.0000)  6 O 2.08-2.18
Mg (0.7505, 0.2441, 0.0000)  6 O 2.08-2.18
Mg (0.7505, 0.7559, 0.0000)  6 O 2.08-2.18
Co (0.0000, 0.0000, 0.0000)  4 O 2.14-2.24
Si (0.0000, 0.5000, 0.0000)  4 O 1.85-2.06
O (0.2619, 0.0000, 0.0000)  5 Mg 2.04-2.14, 1 Co 2.24
O (0.2411, 0.5000, 0.0000)  1 Si 2.06, 5 Mg 2.14-2.22
O (0.7381, 0.0000, 0.0000)  5 Mg 2.04-2.14, 1 Co 2.24
O (0.7589, 0.5000, 0.0000)  1 Si 2.06, 5 Mg 2.14-2.22
O (0.2480, 0.2512, 0.5000)  6 Mg 2.12-2.16
O (0.2480, 0.7488, 0.5000)  6 Mg 2.12-2.16
O (0.7520, 0.2512, 0.5000)  6 Mg 2.12-2.16
O (0.7520, 0.7488, 0.5000)  6 Mg 2.12-2.16
O (0.0000, 0.0000, 0.5000)  4 Mg 2.06-2.11, 2 Co 2.14
O (0.0000, 0.5000, 0.5000)  2 Si 2.14, 4 Mg 2.14-2.19
O (0.5000, 0.0000, 0.5000)  6 Mg 2.11-2.17
O (0.5000, 0.5000, 0.5000)  6 Mg 2.14
O (0.0000, 0.2822, 0.0000)  1 Si 1.85
O (0.0000, 0.7178, 0.0000)  1 Si 1.85
O (0.5000, 0.2548, 0.0000)  6 Mg 2.09-2.17
O (0.5000, 0.7452, 0.0000)  6 Mg 2.09-2.17



Energies relative to the minimum, meV/atom: a 15; b 0



## a
VASP calculation (PBE+U) on crystalline MgCo3TeO8 at its relaxed geometry.

Results
As for the size of the total moment: 9.00 μB per cell.

Cell lengths 5.8745, 6.1118, 6.1270 Å; angles 59.19, 118.78, 122.34 degrees
Last column: nearest neighbours and their distance in Å.
Fractional coordinates of all 13 atoms:
Mg (0.5000, 0.0000, 0.5000)  6 O 2.14-2.21
Co (0.5000, 0.5000, 0.0000)  6 O 2.08-2.14
Co (0.5000, 0.0000, 0.0000)  4 O 1.90-1.94
Co (0.0000, 0.5000, 0.0000)  2 O 1.93
Te (0.5000, 0.5000, 0.5000)  6 O 1.96
O (0.7236, 0.7316, 0.7227)  1 Te 1.96, 1 Co 2.08, 1 Mg 2.14
O (0.7420, 0.2883, 0.7158)  1 Te 1.96, 2 Co 2.16-2.17, 1 Mg 2.18
O (0.2751, 0.7537, 0.8056)  3 Co 1.90-2.09
O (0.2948, 0.2429, 0.7676)  2 Co 1.94-2.14, 1 Te 1.96
O (0.7052, 0.7571, 0.2324)  2 Co 1.94-2.14, 1 Te 1.96
O (0.7249, 0.2463, 0.1945)  3 Co 1.90-2.09
O (0.2580, 0.7117, 0.2842)  1 Te 1.96, 2 Co 2.16-2.17, 1 Mg 2.18
O (0.2764, 0.2684, 0.2773)  1 Te 1.96, 1 Co 2.08, 1 Mg 2.14



## b
VASP calculation (PBE+U) on crystalline MgCo3TeO8 at its relaxed geometry.

Results
As for the size of the total moment: 11.00 μB per cell.

Cell lengths 5.9953, 5.9909, 6.0732 Å; angles 59.70, 120.32, 121.31 degrees
Last column: nearest neighbours and their distance in Å.
Fractional coordinates of all 13 atoms:
Mg (0.0000, 0.0000, 0.0000)  6 O 2.24-2.25
Co (0.5000, 0.5000, 0.0000)  6 O 2.05-2.09
Co (0.5000, 0.0000, 0.0000)  6 O 1.90-2.08
Co (0.0000, 0.5000, 0.0000)  6 O 1.90-2.08
Te (0.5000, 0.5000, 0.5000)  6 O 1.99-2.01
O (0.7381, 0.7251, 0.7453)  1 Te 1.99, 2 Co 2.08-2.09
O (0.7359, 0.2642, 0.7462)  1 Te 2.01, 2 Co 2.07, 1 Mg 2.25
O (0.2625, 0.7371, 0.8150)  3 Co 1.90-2.05
O (0.2754, 0.2616, 0.7453)  1 Te 1.99, 2 Co 2.08-2.09
O (0.7246, 0.7384, 0.2547)  1 Te 1.99, 2 Co 2.08-2.09
O (0.7375, 0.2629, 0.1850)  3 Co 1.90-2.05
O (0.2641, 0.7358, 0.2538)  1 Te 2.01, 2 Co 2.07, 1 Mg 2.25
O (0.2619, 0.2749, 0.2547)  1 Te 1.99, 2 Co 2.08-2.09



Energies relative to the minimum, meV/atom: a 0; b 92



## a
VASP calculation (PBE+U) on crystalline Mg6TiCoO8 at its relaxed geometry.

Results
As for the size of the total moment: 3.53 μB per cell.

Cell lengths 8.6691, 4.2564, 4.2564 Å; angles 90.00, 90.00, 90.00 degrees
Last column: nearest neighbours and their distance in Å.
Fractional coordinates of all 16 atoms:
Mg (0.0000, 0.5000, 0.5000)  6 O 2.13-2.18
Mg (0.5000, 0.5000, 0.5000)  6 O 2.13-2.16
Mg (0.2387, 0.0000, 0.5000)  6 O 2.07-2.27
Mg (0.7613, 0.0000, 0.5000)  6 O 2.07-2.27
Mg (0.2387, 0.5000, 0.0000)  6 O 2.07-2.27
Mg (0.7613, 0.5000, 0.0000)  6 O 2.07-2.27
Ti (0.5000, 0.0000, 0.0000)  6 O 2.05-2.13
Co (0.0000, 0.0000, 0.0000)  6 O 2.13-2.29
O (0.2638, 0.0000, 0.0000)  1 Ti 2.05, 4 Mg 2.14, 1 Co 2.29
O (0.7362, 0.0000, 0.0000)  1 Ti 2.05, 4 Mg 2.14, 1 Co 2.29
O (0.2510, 0.5000, 0.5000)  6 Mg 2.13-2.18
O (0.7490, 0.5000, 0.5000)  6 Mg 2.13-2.18
O (0.0000, 0.0000, 0.5000)  4 Mg 2.07-2.13, 2 Co 2.13
O (0.5000, 0.0000, 0.5000)  4 Mg 2.13-2.27, 2 Ti 2.13
O (0.0000, 0.5000, 0.0000)  4 Mg 2.07-2.13, 2 Co 2.13
O (0.5000, 0.5000, 0.0000)  4 Mg 2.13-2.27, 2 Ti 2.13



## b
VASP calculation (PBE+U) on crystalline Mg6TiCoO8 at its relaxed geometry.

Results
As for the size of the total moment: 3.00 μB per cell.

Cell lengths 8.6782, 4.2334, 4.2334 Å; angles 90.00, 90.00, 90.00 degrees
Last column: nearest neighbours and their distance in Å.
Fractional coordinates of all 16 atoms:
Mg (0.5000, 0.0000, 0.0000)  6 O 2.07-2.12
Mg (0.5000, 0.5000, 0.5000)  6 O 2.12-2.19
Mg (0.2512, 0.0000, 0.5000)  6 O 2.12-2.18
Mg (0.7488, 0.0000, 0.5000)  6 O 2.12-2.18
Mg (0.2512, 0.5000, 0.0000)  6 O 2.12-2.18
Mg (0.7488, 0.5000, 0.0000)  6 O 2.12-2.18
Ti (0.0000, 0.5000, 0.5000)  6 O 2.12-2.15
Co (0.0000, 0.0000, 0.0000)  6 O 2.12-2.27
O (0.2614, 0.0000, 0.0000)  5 Mg 2.07-2.12, 1 Co 2.27
O (0.7386, 0.0000, 0.0000)  5 Mg 2.07-2.12, 1 Co 2.27
O (0.2473, 0.5000, 0.5000)  5 Mg 2.12-2.19, 1 Ti 2.15
O (0.7527, 0.5000, 0.5000)  5 Mg 2.12-2.19, 1 Ti 2.15
O (0.0000, 0.0000, 0.5000)  2 Ti 2.12, 2 Co 2.12, 2 Mg 2.18
O (0.5000, 0.0000, 0.5000)  6 Mg 2.12-2.16
O (0.0000, 0.5000, 0.0000)  2 Co 2.12, 2 Ti 2.12, 2 Mg 2.18
O (0.5000, 0.5000, 0.0000)  6 Mg 2.12-2.16



Energies relative to the minimum, meV/atom: a 16; b 0